DFT (PBE-GGA) results for a geometry-optimized PrCuO3 structure.

abc: 3.846 3.846 3.846
angles: 90.00 90.00 90.00
Positions (direct):
Pr  0.000  0.000  0.000
Cu  0.500  0.500  0.500
O  0.000  0.500  0.500
O  0.500  0.000  0.500
O  0.500  0.500  0.000

Energy of formation, eV/atom: -2.315
Final energy, eV per atom: -6.648
Space group: Pm-3m
Spin magnetization, μB/cell: 0.002